# 1
A geometry-optimized K3Nb2Cu3Se8 structure. Source: the Materials Project database, functional r2SCAN.

Formation energy from the elements   -0.982 eV per atom

Cell and atoms, written as CIF:
```
data_K3Nb2Cu3Se8
_space_group_name_H-M_alt 'C 1 2/c 1'
_space_group_IT_number 15
_cell_length_a 24.4779
_cell_length_b 5.7170
_cell_length_c 15.0228
_cell_angle_alpha 90.00
_cell_angle_beta 121.05
_cell_angle_gamma 90.00
loop_
_space_group_symop_operation_xyz
'x,y,z'
'-x,-y,-z'
'-x,y,-z+1/2'
'x,-y,z+1/2'
'x+1/2,y+1/2,z'
'-x+1/2,-y+1/2,-z'
'-x+1/2,y+1/2,-z+1/2'
'x+1/2,-y+1/2,z+1/2'
loop_
_atom_site_label
_atom_site_type_symbol
_atom_site_fract_x
_atom_site_fract_y
_atom_site_fract_z
_atom_site_occupancy
K1 K 0.0000 0.0000 0.0000 1
K2 K 0.1924 0.4611 0.0951 1
Nb1 Nb 0.1247 0.2810 0.7787 1
Cu1 Cu 0.0000 0.2758 0.7500 1
Cu2 Cu 0.1224 0.2193 0.2792 1
Se1 Se 0.0349 0.4763 0.1566 1
Se2 Se 0.0905 0.0382 0.8748 1
Se3 Se 0.1569 0.0272 0.6841 1
Se4 Se 0.2121 0.4685 0.3931 1
```

# 2
A geometry-optimized Pr2ZnAg structure. Source: the Materials Project database, functional r2SCAN.

Formation energy from the elements   -0.270 eV per atom

Cell and atoms, written as CIF:
```
data_Pr2ZnAg
_space_group_name_H-M_alt 'F m -3 m'
_space_group_IT_number 225
_space_group_name_Hall '-F 4 2 3'
_cell_length_a 7.4772
_cell_length_b 7.4772
_cell_length_c 7.4772
_cell_angle_alpha 90.00
_cell_angle_beta 90.00
_cell_angle_gamma 90.00
loop_
_atom_site_label
_atom_site_type_symbol
_atom_site_fract_x
_atom_site_fract_y
_atom_site_fract_z
_atom_site_occupancy
Pr1 Pr 0.2500 0.2500 0.2500 1
Zn1 Zn 0.0000 0.0000 0.0000 1
Ag1 Ag 0.0000 0.0000 0.5000 1
```

# 3
A geometry-optimized Li2ZnCl4 structure. Source: the Materials Project database, functional r2SCAN.

Formation energy from the elements   -1.712 eV per atom

Cell and atoms, written as CIF:
```
data_Li2ZnCl4
_space_group_name_H-M_alt 'P n m a'
_space_group_IT_number 62
_cell_length_a 12.6521
_cell_length_b 7.3584
_cell_length_c 6.0633
_cell_angle_alpha 90.00
_cell_angle_beta 90.00
_cell_angle_gamma 90.00
loop_
_space_group_symop_operation_xyz
'x,y,z'
'-x,-y,-z'
'-x+1/2,-y,z+1/2'
'x+1/2,y,-z+1/2'
'x+1/2,-y+1/2,-z+1/2'
'-x+1/2,y+1/2,z+1/2'
'-x,y+1/2,-z'
'x,-y+1/2,z'
loop_
_atom_site_label
_atom_site_type_symbol
_atom_site_fract_x
_atom_site_fract_y
_atom_site_fract_z
_atom_site_occupancy
Li1 Li 0.0000 0.0000 0.0000 1
Li2 Li 0.2313 0.2500 0.4962 1
Zn1 Zn 0.0891 0.7500 0.4173 1
Cl1 Cl 0.0743 0.2500 0.7469 1
Cl2 Cl 0.0893 0.7500 0.7855 1
Cl3 Cl 0.1662 0.5063 0.2509 1
```

# 4
A geometry-optimized PrHoAl4 structure. Source: the Materials Project database, functional r2SCAN.

Formation energy from the elements   -0.542 eV per atom

Cell and atoms, written as CIF:
```
data_PrHoAl4
_space_group_name_H-M_alt 'F -4 3 m'
_space_group_IT_number 216
_space_group_name_Hall 'F -4 2 3'
_cell_length_a 7.9333
_cell_length_b 7.9333
_cell_length_c 7.9333
_cell_angle_alpha 90.00
_cell_angle_beta 90.00
_cell_angle_gamma 90.00
loop_
_atom_site_label
_atom_site_type_symbol
_atom_site_fract_x
_atom_site_fract_y
_atom_site_fract_z
_atom_site_occupancy
Pr1 Pr 0.0000 0.0000 0.0000 1
Ho1 Ho 0.2500 0.2500 0.7500 1
Al1 Al 0.1248 0.1248 0.3752 1
```

# 5
A geometry-optimized Ca2Si5Pt3 structure. Source: the Materials Project database, functional r2SCAN.

Formation energy from the elements   -0.884 eV per atom

Cell and atoms, written as CIF:
```
data_Ca2Si5Pt3
_space_group_name_H-M_alt 'C 1 2/c 1'
_space_group_IT_number 15
_cell_length_a 11.6663
_cell_length_b 11.5425
_cell_length_c 5.9407
_cell_angle_alpha 90.00
_cell_angle_beta 120.52
_cell_angle_gamma 90.00
loop_
_space_group_symop_operation_xyz
'x,y,z'
'-x,-y,-z'
'-x,y,-z+1/2'
'x,-y,z+1/2'
'x+1/2,y+1/2,z'
'-x+1/2,-y+1/2,-z'
'-x+1/2,y+1/2,-z+1/2'
'x+1/2,-y+1/2,z+1/2'
loop_
_atom_site_label
_atom_site_type_symbol
_atom_site_fract_x
_atom_site_fract_y
_atom_site_fract_z
_atom_site_occupancy
Ca1 Ca 0.2334 0.1289 0.2333 1
Si1 Si 0.0000 0.0003 0.2500 1
Si2 Si 0.0000 0.2700 0.2500 1
Si3 Si 0.0000 0.2701 0.7500 1
Si4 Si 0.1494 0.3883 0.1494 1
Pt1 Pt 0.0000 0.4999 0.2500 1
Pt2 Pt 0.1154 0.1361 0.6152 1
```

# 6
A geometry-optimized CsZn4P3 structure. Source: the Materials Project database, functional r2SCAN.

Formation energy from the elements   -0.397 eV per atom

Cell and atoms, written as CIF:
```
data_CsZn4P3
_space_group_name_H-M_alt 'P 4/m m m'
_space_group_IT_number 123
_space_group_name_Hall '-P 4 2'
_cell_length_a 4.0544
_cell_length_b 4.0544
_cell_length_c 10.4325
_cell_angle_alpha 90.00
_cell_angle_beta 90.00
_cell_angle_gamma 90.00
loop_
_atom_site_label
_atom_site_type_symbol
_atom_site_fract_x
_atom_site_fract_y
_atom_site_fract_z
_atom_site_occupancy
Cs1 Cs 0.0000 0.0000 0.0000 1
Zn1 Zn 0.0000 0.5000 0.3484 1
P1 P 0.0000 0.0000 0.5000 1
P2 P 0.5000 0.5000 0.2267 1
```

# 7
A geometry-optimized Li13Ga21Cu6 structure. Source: the Materials Project database, functional r2SCAN.

Formation energy from the elements   -0.328 eV per atom

Cell and atoms, written as CIF:
```
data_Li13Ga21Cu6
_space_group_name_H-M_alt 'I m -3'
_space_group_IT_number 204
_space_group_name_Hall '-I 2 2 3'
_cell_length_a 13.4641
_cell_length_b 13.4641
_cell_length_c 13.4641
_cell_angle_alpha 90.00
_cell_angle_beta 90.00
_cell_angle_gamma 90.00
loop_
_atom_site_label
_atom_site_type_symbol
_atom_site_fract_x
_atom_site_fract_y
_atom_site_fract_z
_atom_site_occupancy
Li1 Li 0.0000 0.1156 0.3041 1
Li2 Li 0.0000 0.2054 0.5000 1
Li3 Li 0.1865 0.1865 0.1865 1
Ga1 Ga 0.0000 0.1594 0.0970 1
Ga2 Ga 0.0000 0.4068 0.5000 1
Ga3 Ga 0.0947 0.3106 0.3410 1
Cu1 Cu 0.0000 0.3176 0.1780 1
```

# 8
A geometry-optimized La3In structure. Source: the Materials Project database, functional r2SCAN.

Formation energy from the elements   -0.385 eV per atom

Cell and atoms, written as CIF:
```
data_La3In
_space_group_name_H-M_alt 'P m -3 m'
_space_group_IT_number 221
_space_group_name_Hall '-P 4 2 3'
_cell_length_a 5.0923
_cell_length_b 5.0923
_cell_length_c 5.0923
_cell_angle_alpha 90.00
_cell_angle_beta 90.00
_cell_angle_gamma 90.00
loop_
_atom_site_label
_atom_site_type_symbol
_atom_site_fract_x
_atom_site_fract_y
_atom_site_fract_z
_atom_site_occupancy
La1 La 0.0000 0.0000 0.5000 1
In1 In 0.5000 0.5000 0.5000 1
```

# 9
A geometry-optimized In structure. Source: the Materials Project database, functional r2SCAN.

Formation energy from the elements   0.004 eV per atom

Cell and atoms, written as CIF:
```
data_In
_space_group_name_H-M_alt 'I 4/m m m'
_space_group_IT_number 139
_space_group_name_Hall '-I 4 2'
_cell_length_a 3.2595
_cell_length_b 3.2595
_cell_length_c 4.9858
_cell_angle_alpha 90.00
_cell_angle_beta 90.00
_cell_angle_gamma 90.00
loop_
_atom_site_label
_atom_site_type_symbol
_atom_site_fract_x
_atom_site_fract_y
_atom_site_fract_z
_atom_site_occupancy
In1 In 0.0000 0.0000 0.0000 1
```

# 10
A geometry-optimized Na5HfAs3 structure. Source: the Materials Project database, functional r2SCAN.

Formation energy from the elements   -0.754 eV per atom

Cell and atoms, written as CIF:
```
data_Na5HfAs3
_space_group_name_H-M_alt 'P 1 21/c 1'
_space_group_IT_number 14
_cell_length_a 8.3997
_cell_length_b 7.5023
_cell_length_c 16.0707
_cell_angle_alpha 90.00
_cell_angle_beta 120.89
_cell_angle_gamma 90.00
loop_
_space_group_symop_operation_xyz
'x,y,z'
'-x,-y,-z'
'-x,y+1/2,-z+1/2'
'x,-y+1/2,z+1/2'
loop_
_atom_site_label
_atom_site_type_symbol
_atom_site_fract_x
_atom_site_fract_y
_atom_site_fract_z
_atom_site_occupancy
Na1 Na 0.0015 0.1616 0.0805 1
Na2 Na 0.0832 0.0066 0.7625 1
Na3 Na 0.2599 0.5120 0.0941 1
Na4 Na 0.3202 0.6533 0.7427 1
Na5 Na 0.4028 0.0274 0.0840 1
Hf1 Hf 0.3382 0.1417 0.4135 1
As1 As 0.0551 0.2421 0.9170 1
As2 As 0.3432 0.7076 0.9304 1
As3 As 0.3519 0.2372 0.2643 1
```

# 11
A geometry-optimized H structure. Source: the Materials Project database, functional r2SCAN.

Formation energy from the elements   0.004 eV per atom

Cell and atoms, written as CIF:
```
data_H
_space_group_name_H-M_alt 'P n m a'
_space_group_IT_number 62
_cell_length_a 5.7158
_cell_length_b 6.6459
_cell_length_c 5.4870
_cell_angle_alpha 90.00
_cell_angle_beta 90.00
_cell_angle_gamma 90.00
loop_
_space_group_symop_operation_xyz
'x,y,z'
'-x,-y,-z'
'-x+1/2,-y,z+1/2'
'x+1/2,y,-z+1/2'
'x+1/2,-y+1/2,-z+1/2'
'-x+1/2,y+1/2,z+1/2'
'-x,y+1/2,-z'
'x,-y+1/2,z'
loop_
_atom_site_label
_atom_site_type_symbol
_atom_site_fract_x
_atom_site_fract_y
_atom_site_fract_z
_atom_site_occupancy
H1 H 0.0203 0.2500 0.0329 1
H2 H 0.0255 0.5307 0.4502 1
H3 H 0.1019 0.7500 0.0123 1
```

# 12
A geometry-optimized PmSm3 structure. Source: the Materials Project database, functional r2SCAN.

Formation energy from the elements   0.028 eV per atom

Cell and atoms, written as CIF:
```
data_PmSm3
_space_group_name_H-M_alt 'P m -3 m'
_space_group_IT_number 221
_space_group_name_Hall '-P 4 2 3'
_cell_length_a 5.1403
_cell_length_b 5.1403
_cell_length_c 5.1403
_cell_angle_alpha 90.00
_cell_angle_beta 90.00
_cell_angle_gamma 90.00
loop_
_atom_site_label
_atom_site_type_symbol
_atom_site_fract_x
_atom_site_fract_y
_atom_site_fract_z
_atom_site_occupancy
Pm1 Pm 0.0000 0.0000 0.0000 1
Sm1 Sm 0.0000 0.5000 0.5000 1
```

Question: Among the records above, which one has the lowest formation energy from the elements?
Answer: Li2ZnCl4